# 1
# LiFe8O12

A geometry-optimized LiFe8O12 structure (GGA+U, the Materials Project).

energy with MP2020 corrections = -161.7 eV per cell
total energy = -135.438 eV/f.u.
SG = No. 3
energy relative to the elements = -1.556 eV per atom

Lattice parameters (Å, degrees): 5.318 5.369 9.063 90.00 106.98 90.00
Sites, in units of the cell vectors:
Li: 0.000 0.000 0.000
Fe: 0.174 0.486 0.191
Fe: 0.243 0.949 0.410
Fe: 0.248 0.437 0.583
Fe: 0.337 0.889 0.804
Fe: 0.663 0.889 0.196
Fe: 0.752 0.437 0.417
Fe: 0.757 0.949 0.590
Fe: 0.826 0.486 0.809
O: 0.000 0.350 0.000
O: 0.000 0.758 0.500
O: 0.035 0.824 0.198
O: 0.082 0.296 0.357
O: 0.422 0.083 0.637
O: 0.466 0.562 0.792
O: 0.500 0.009 0.000
O: 0.500 0.651 0.500
O: 0.534 0.562 0.208
O: 0.578 0.083 0.363
O: 0.918 0.296 0.643
O: 0.965 0.824 0.802


# 2
# Li5CrO5

A geometry-optimized Li5CrO5 structure (GGA+U, the Materials Project).

energy with MP2020 corrections = -267.2 eV per cell
total energy = -61.378 eV/f.u.
SG = No. 5
largest piezoelectric modulus = 1.43 C/m2
energy relative to the elements = -2.079 eV per atom

Lattice parameters (Å, degrees): 5.138 5.138 21.597 95.16 95.16 47.10
Sites, in units of the cell vectors:
Li: 0.024 0.024 0.215
Li: 0.123 0.127 0.335
Li: 0.123 0.127 0.915
Li: 0.145 0.106 0.625
Li: 0.226 0.225 0.035
Li: 0.275 0.274 0.465
Li: 0.373 0.377 0.165
Li: 0.373 0.377 0.584
Li: 0.395 0.355 0.875
Li: 0.476 0.475 0.285
Li: 0.525 0.524 0.715
Li: 0.623 0.627 0.416
Li: 0.623 0.627 0.835
Li: 0.645 0.605 0.125
Li: 0.726 0.725 0.535
Li: 0.775 0.774 0.965
Li: 0.873 0.877 0.085
Li: 0.873 0.877 0.665
Li: 0.894 0.855 0.375
Li: 0.976 0.976 0.785
Cr: 0.181 0.320 0.750
Cr: 0.431 0.569 0.000
Cr: 0.680 0.819 0.250
Cr: 0.932 0.068 0.500
O: 0.022 0.978 0.000
O: 0.082 0.055 0.708
O: 0.087 0.066 0.423
O: 0.184 0.164 0.827
O: 0.195 0.168 0.542
O: 0.272 0.228 0.250
O: 0.332 0.305 0.958
O: 0.336 0.317 0.673
O: 0.433 0.414 0.077
O: 0.444 0.419 0.792
O: 0.523 0.477 0.500
O: 0.581 0.556 0.208
O: 0.586 0.567 0.923
O: 0.683 0.664 0.327
O: 0.695 0.668 0.042
O: 0.772 0.728 0.750
O: 0.832 0.805 0.458
O: 0.836 0.816 0.173
O: 0.934 0.913 0.577
O: 0.945 0.918 0.292


# 3
# Li2MnF4

A geometry-optimized Li2MnF4 structure (GGA+U, the Materials Project).

energy with MP2020 corrections = -41.5 eV per cell
total energy = -37.968 eV/f.u.
SG = No. 111
largest piezoelectric modulus = 0.54 C/m2
energy relative to the elements = -2.978 eV per atom

Lattice parameters (Å, degrees): 4.408 4.408 5.007 90.00 90.00 90.00
Sites, in units of the cell vectors:
Li: 0.000 0.500 0.000
Li: 0.500 0.000 0.000
Mn: 0.000 0.000 0.500
F: 0.237 0.237 0.779
F: 0.237 0.763 0.221
F: 0.763 0.237 0.221
F: 0.763 0.763 0.779


Q: The highest energy relative to the elements belongs to which entry?
A: LiFe8O12